No. 1
# Li4Co3Sb5O16 | the Materials Project database | PBE+U | relaxed
# Space-group type: No. 6
# Electronic total energy, eV per cell: -329.87
# Crystal system: monoclinic
data_Li4Co3Sb5O16
_chemical_formula_sum 'Li8 Co6 Sb10 O32'
_cell_length_a 6.191
_cell_length_b 10.421
_cell_length_c 10.778
_cell_angle_alpha 90.02
_cell_angle_beta 90.00
_cell_angle_gamma 90.00
_space_group_name_H-M_alt 'P 1'
_space_group_IT_number 1
_space_group_name_Hall 'P 1'
loop_
_atom_site_label
_atom_site_type_symbol
_atom_site_fract_x
_atom_site_fract_y
_atom_site_fract_z
Li1 Li 0.500 0.904 0.158
Li2 Li 0.000 0.895 0.663
Li3 Li 0.500 0.981 0.477
Li4 Li 0.000 0.987 0.001
Li5 Li 0.500 0.504 0.498
Li6 Li 0.000 0.506 0.005
Li7 Li 0.000 0.372 0.322
Li8 Li 0.500 0.371 0.821
Co1 Co 0.000 0.207 0.830
Co2 Co 0.246 0.725 0.422
Co3 Co 0.754 0.725 0.422
Co4 Co 0.500 0.212 0.324
Co5 Co 0.746 0.717 0.920
Co6 Co 0.254 0.717 0.920
Sb1 Sb 0.500 0.524 0.181
Sb2 Sb 0.000 0.519 0.682
Sb3 Sb 0.000 0.732 0.173
Sb4 Sb 0.500 0.720 0.675
Sb5 Sb 0.000 0.985 0.341
Sb6 Sb 0.500 0.973 0.845
Sb7 Sb 0.747 0.213 0.085
Sb8 Sb 0.246 0.206 0.578
Sb9 Sb 0.253 0.213 0.085
Sb10 Sb 0.754 0.206 0.578
O1 O 0.500 0.311 0.004
O2 O 0.000 0.306 0.497
O3 O 0.500 0.103 0.158
O4 O 0.000 0.097 0.649
O5 O 0.000 0.317 0.012
O6 O 0.500 0.310 0.497
O7 O 0.000 0.814 0.009
O8 O 0.500 0.811 0.512
O9 O 0.000 0.095 0.170
O10 O 0.500 0.093 0.623
O11 O 0.500 0.610 0.347
O12 O 0.000 0.602 0.849
O13 O 0.000 0.633 0.329
O14 O 0.500 0.614 0.828
O15 O 0.000 0.861 0.480
O16 O 0.500 0.846 0.985
O17 O 0.767 0.618 0.097
O18 O 0.264 0.611 0.592
O19 O 0.234 0.618 0.097
O20 O 0.736 0.611 0.592
O21 O 0.740 0.313 0.238
O22 O 0.242 0.302 0.733
O23 O 0.260 0.313 0.238
O24 O 0.758 0.302 0.733
O25 O 0.217 0.863 0.254
O26 O 0.722 0.839 0.755
O27 O 0.783 0.863 0.254
O28 O 0.278 0.839 0.755
O29 O 0.251 0.093 0.416
O30 O 0.779 0.101 0.939
O31 O 0.749 0.093 0.416
O32 O 0.221 0.101 0.939

***

No. 2
# Li4Ti3Co3Sb2O16 | the Materials Project database | PBE+U | relaxed
# Electronic total energy, eV per cell: -382.87
data_Li4Ti3Co3Sb2O16
_chemical_formula_sum 'Li8 Ti6 Co6 Sb4 O32'
_cell_length_a 6.028
_cell_length_b 10.373
_cell_length_c 9.756
_cell_angle_alpha 90.54
_cell_angle_beta 90.91
_cell_angle_gamma 89.34
_space_group_name_H-M_alt 'P 1'
_space_group_IT_number 1
_space_group_name_Hall 'P 1'
loop_
_atom_site_label
_atom_site_type_symbol
_atom_site_fract_x
_atom_site_fract_y
_atom_site_fract_z
Li1 Li 0.991 0.331 0.898
Li2 Li 0.491 0.831 0.898
Li3 Li 0.489 0.496 0.980
Li4 Li 0.989 0.996 0.980
Li5 Li 0.004 0.001 0.495
Li6 Li 0.504 0.501 0.495
Li7 Li 0.499 0.166 0.407
Li8 Li 0.999 0.666 0.407
Ti1 Ti 0.262 0.087 0.719
Ti2 Ti 0.762 0.587 0.719
Ti3 Ti 0.758 0.418 0.215
Ti4 Ti 0.258 0.918 0.215
Ti5 Ti 0.006 0.170 0.215
Ti6 Ti 0.505 0.670 0.215
Co1 Co 0.741 0.914 0.210
Co2 Co 0.501 0.327 0.711
Co3 Co 0.000 0.827 0.710
Co4 Co 0.241 0.413 0.210
Co5 Co 0.741 0.087 0.711
Co6 Co 0.241 0.587 0.711
Sb1 Sb 0.009 0.336 0.493
Sb2 Sb 0.509 0.836 0.493
Sb3 Sb 0.511 0.170 0.985
Sb4 Sb 0.011 0.670 0.985
O1 O 0.783 0.261 0.339
O2 O 0.283 0.761 0.339
O3 O 0.975 0.325 0.106
O4 O 0.475 0.825 0.106
O5 O 0.011 0.004 0.303
O6 O 0.511 0.504 0.303
O7 O 0.013 0.005 0.795
O8 O 0.513 0.505 0.795
O9 O 0.256 0.085 0.106
O10 O 0.756 0.585 0.106
O11 O 0.260 0.420 0.583
O12 O 0.760 0.920 0.583
O13 O 0.477 0.159 0.603
O14 O 0.978 0.659 0.603
O15 O 0.722 0.241 0.852
O16 O 0.221 0.741 0.852
O17 O 0.764 0.420 0.595
O18 O 0.264 0.920 0.595
O19 O 0.012 0.172 0.595
O20 O 0.512 0.672 0.595
O21 O 0.985 0.480 0.342
O22 O 0.485 0.980 0.342
O23 O 0.212 0.252 0.342
O24 O 0.712 0.753 0.342
O25 O 0.269 0.235 0.855
O26 O 0.769 0.735 0.855
O27 O 0.487 0.017 0.855
O28 O 0.987 0.517 0.855
O29 O 0.508 0.335 0.100
O30 O 0.008 0.835 0.100
O31 O 0.756 0.087 0.100
O32 O 0.256 0.587 0.100

***

No. 3
# Li4V3Co2Sb3O16 | the Materials Project database | PBE+U | relaxed
# Space-group type: No. 8
# Electronic total energy, eV per cell: -179.80
# Crystal system: monoclinic
data_Li4V3Co2Sb3O16
_chemical_formula_sum 'Li4 V3 Co2 Sb3 O16'
_cell_length_a 6.145
_cell_length_b 6.145
_cell_length_c 9.861
_cell_angle_alpha 89.56
_cell_angle_beta 89.56
_cell_angle_gamma 59.93
_space_group_name_H-M_alt 'P 1'
_space_group_IT_number 1
_space_group_name_Hall 'P 1'
loop_
_atom_site_label
_atom_site_type_symbol
_atom_site_fract_x
_atom_site_fract_y
_atom_site_fract_z
Li1 Li 0.665 0.665 0.122
Li2 Li 0.989 0.989 0.009
Li3 Li 0.992 0.992 0.495
Li4 Li 0.328 0.328 0.600
V1 V 0.832 0.832 0.784
V2 V 0.171 0.663 0.285
V3 V 0.663 0.171 0.285
Co1 Co 0.673 0.673 0.481
Co2 Co 0.344 0.344 0.024
Sb1 Sb 0.338 0.832 0.785
Sb2 Sb 0.832 0.338 0.785
Sb3 Sb 0.171 0.171 0.285
O1 O 0.315 0.846 0.398
O2 O 0.514 0.514 0.669
O3 O 0.662 0.662 0.899
O4 O 0.005 0.005 0.679
O5 O 0.007 0.007 0.187
O6 O 0.846 0.315 0.398
O7 O 0.513 0.969 0.675
O8 O 0.969 0.513 0.675
O9 O 0.154 0.154 0.898
O10 O 0.843 0.843 0.392
O11 O 0.035 0.481 0.165
O12 O 0.481 0.035 0.165
O13 O 0.328 0.328 0.398
O14 O 0.159 0.690 0.892
O15 O 0.483 0.483 0.169
O16 O 0.690 0.159 0.892

***

No. 4
# Li4V2Co3Sb3O16 | the Materials Project database | PBE+U | relaxed
# Space-group type: No. 8
# Electronic total energy, eV per cell: -170.59
# Crystal system: monoclinic
data_Li4V2Co3Sb3O16
_chemical_formula_sum 'Li4 V2 Co3 Sb3 O16'
_cell_length_a 6.138
_cell_length_b 6.138
_cell_length_c 9.740
_cell_angle_alpha 89.21
_cell_angle_beta 89.21
_cell_angle_gamma 59.58
_space_group_name_H-M_alt 'P 1'
_space_group_IT_number 1
_space_group_name_Hall 'P 1'
loop_
_atom_site_label
_atom_site_type_symbol
_atom_site_fract_x
_atom_site_fract_y
_atom_site_fract_z
Li1 Li 0.670 0.670 0.113
Li2 Li 0.978 0.978 0.019
Li3 Li 0.994 0.994 0.492
Li4 Li 0.324 0.324 0.597
V1 V 0.678 0.678 0.500
V2 V 0.347 0.347 0.024
Co1 Co 0.829 0.829 0.785
Co2 Co 0.193 0.658 0.283
Co3 Co 0.658 0.193 0.283
Sb1 Sb 0.334 0.829 0.785
Sb2 Sb 0.829 0.334 0.785
Sb3 Sb 0.177 0.177 0.287
O1 O 0.341 0.845 0.407
O2 O 0.514 0.514 0.661
O3 O 0.656 0.656 0.897
O4 O 0.004 0.004 0.680
O5 O 0.008 0.008 0.202
O6 O 0.845 0.341 0.407
O7 O 0.506 0.955 0.660
O8 O 0.955 0.506 0.660
O9 O 0.157 0.157 0.897
O10 O 0.823 0.823 0.419
O11 O 0.040 0.476 0.155
O12 O 0.476 0.040 0.155
O13 O 0.332 0.332 0.397
O14 O 0.166 0.680 0.896
O15 O 0.487 0.487 0.147
O16 O 0.680 0.166 0.896

***

No. 5
# LiCoSiO4 | the Materials Project database | PBE+U | relaxed
# Space-group type: No. 7
# Electronic total energy, eV per cell: -183.73
# Crystal system: monoclinic
data_LiCoSiO4
_chemical_formula_sum 'Li4 Co4 Si4 O16'
_cell_length_a 5.368
_cell_length_b 7.887
_cell_length_c 8.497
_cell_angle_alpha 74.99
_cell_angle_beta 90.00
_cell_angle_gamma 90.00
_space_group_name_H-M_alt 'P 1'
_space_group_IT_number 1
_space_group_name_Hall 'P 1'
loop_
_atom_site_label
_atom_site_type_symbol
_atom_site_fract_x
_atom_site_fract_y
_atom_site_fract_z
Li1 Li 0.345 0.131 0.203
Li2 Li 0.833 0.634 0.392
Li3 Li 0.655 0.131 0.703
Li4 Li 0.167 0.634 0.892
Co1 Co 0.855 0.032 0.068
Co2 Co 0.330 0.510 0.273
Co3 Co 0.145 0.032 0.568
Co4 Co 0.670 0.510 0.773
Si1 Si 0.666 0.746 0.019
Si2 Si 0.830 0.262 0.321
Si3 Si 0.334 0.746 0.519
Si4 Si 0.170 0.262 0.821
O1 O 0.168 0.117 0.002
O2 O 0.383 0.666 0.071
O3 O 0.707 0.171 0.185
O4 O 0.125 0.315 0.277
O5 O 0.815 0.786 0.176
O6 O 0.659 0.431 0.333
O7 O 0.832 0.117 0.502
O8 O 0.193 0.609 0.431
O9 O 0.321 0.950 0.402
O10 O 0.617 0.666 0.571
O11 O 0.293 0.171 0.685
O12 O 0.875 0.315 0.777
O13 O 0.185 0.786 0.676
O14 O 0.341 0.431 0.833
O15 O 0.807 0.609 0.931
O16 O 0.679 0.950 0.902

***

No. 6
# LiCoSiO4 | the Materials Project database | PBE+U | relaxed
# Space-group type: No. 33
# Maximum piezoelectric response, C/m2: 0.6
# Electronic total energy, eV per cell: -184.50
# Crystal system: orthorhombic
data_LiCoSiO4
_chemical_formula_sum 'Li4 Co4 Si4 O16'
_cell_length_a 5.076
_cell_length_b 6.345
_cell_length_c 10.755
_cell_angle_alpha 90.00
_cell_angle_beta 90.00
_cell_angle_gamma 90.00
_space_group_name_H-M_alt 'P 1'
_space_group_IT_number 1
_space_group_name_Hall 'P 1'
loop_
_atom_site_label
_atom_site_type_symbol
_atom_site_fract_x
_atom_site_fract_y
_atom_site_fract_z
Li1 Li 0.760 0.007 0.168
Li2 Li 0.760 0.493 0.668
Li3 Li 0.260 0.507 0.332
Li4 Li 0.260 0.993 0.832
Co1 Co 0.259 0.236 0.587
Co2 Co 0.259 0.264 0.087
Co3 Co 0.759 0.736 0.913
Co4 Co 0.759 0.764 0.413
Si1 Si 0.263 0.009 0.332
Si2 Si 0.263 0.491 0.832
Si3 Si 0.763 0.509 0.168
Si4 Si 0.763 0.991 0.668
O1 O 0.152 0.043 0.189
O2 O 0.585 0.979 0.329
O3 O 0.626 0.206 0.612
O4 O 0.202 0.223 0.416
O5 O 0.202 0.277 0.916
O6 O 0.626 0.294 0.112
O7 O 0.585 0.521 0.829
O8 O 0.152 0.457 0.689
O9 O 0.652 0.543 0.311
O10 O 0.085 0.479 0.171
O11 O 0.126 0.706 0.888
O12 O 0.702 0.723 0.084
O13 O 0.702 0.777 0.584
O14 O 0.126 0.794 0.388
O15 O 0.085 0.021 0.671
O16 O 0.652 0.957 0.811

***

Look up the electronic total energy of the sixth one.
-184.50 eV per cell

***

Which of these has the highest electronic total energy?
Li4V2Co3Sb3O16

***

What is the formula in the fourth record?
Li4V2Co3Sb3O16